Density functional theory data (PBE) for TeMoWSeS2 after structural relaxation.

Output
E (MP2020): -7.1755 eV per atom
ΔH_f (0 K): -4.3 eV/f.u.
total energy: -7.01 eV/atom
E above lowest polymorph: 37.3 meV per atom

POSCAR file:
```
TeMoWSeS2
1.0
3.308 0.000 0.000
-1.654 2.865 0.000
0.000 0.000 37.639
Te Mo W Se S
2 2 2 2 4
Direct
0.000 0.000 0.000
0.000 0.000 0.102
0.000 0.000 0.488
0.000 0.000 0.863
0.333 0.667 0.051
0.333 0.667 0.675
0.333 0.667 0.443
0.333 0.667 0.532
0.000 0.000 0.635
0.000 0.000 0.716
0.333 0.667 0.823
0.333 0.667 0.904
```



Density functional theory data (PBE) for InCl2 after structural relaxation.

Output
E (MP2020): -3.5703 eV per atom
ΔH_f (0 K): -4.3 eV/f.u.
total energy: -3.16 eV/atom

POSCAR file:
```
InCl2
1.0
7.703 0.000 0.000
0.000 10.519 0.000
0.000 0.000 10.196
In Cl
8 16
Direct
0.177 0.250 0.250
0.250 0.000 0.686
0.250 0.500 0.814
0.323 0.750 0.250
0.677 0.250 0.750
0.750 0.000 0.314
0.750 0.500 0.186
0.823 0.750 0.750
0.006 0.539 0.314
0.006 0.961 0.186
0.165 0.680 0.943
0.165 0.820 0.557
0.335 0.180 0.557
0.335 0.320 0.943
0.494 0.039 0.186
0.494 0.461 0.314
0.506 0.539 0.686
0.506 0.961 0.814
0.665 0.680 0.057
0.665 0.820 0.443
0.835 0.180 0.443
0.835 0.320 0.057
0.994 0.039 0.814
0.994 0.461 0.686
```



Density functional theory data (PBE) for AlPO4 after structural relaxation.

Output
E (MP2020): -7.9341 eV per atom
ΔH_f (0 K): -18.7 eV/f.u.
total energy: -7.48 eV/atom

POSCAR file:
```
AlPO4
1.0
9.734 0.000 0.000
0.000 7.858 4.368
0.000 -7.858 4.368
Al P O
6 6 24
Direct
0.152 0.096 0.904
0.152 0.404 0.596
0.344 0.749 0.249
0.656 0.249 0.749
0.848 0.596 0.404
0.848 0.904 0.096
0.156 0.030 0.220
0.156 0.720 0.530
0.342 0.376 0.876
0.658 0.876 0.376
0.844 0.220 0.030
0.844 0.530 0.720
0.013 0.690 0.444
0.013 0.944 0.190
0.156 0.204 0.397
0.156 0.897 0.704
0.193 0.063 0.074
0.193 0.574 0.563
0.264 0.722 0.407
0.264 0.907 0.222
0.268 0.240 0.901
0.268 0.401 0.740
0.347 0.550 0.050
0.487 0.310 0.810
0.513 0.810 0.310
0.653 0.050 0.550
0.732 0.740 0.401
0.732 0.901 0.240
0.736 0.222 0.907
0.736 0.407 0.722
0.807 0.074 0.063
0.807 0.563 0.574
0.844 0.397 0.204
0.844 0.704 0.897
0.987 0.190 0.944
0.987 0.444 0.690
```



Density functional theory data (PBE) for BRu6C17O17 after structural relaxation.

Output
E (MP2020): -8.2844 eV per atom
ΔH_f (0 K): -36.3 eV/f.u.
total energy: -8.00 eV/atom

POSCAR file:
```
BRu6C17O17
1.0
12.040 0.000 0.000
0.000 13.479 0.000
0.000 0.000 16.668
B Ru C O
4 24 68 68
Direct
0.047 0.006 0.001
0.453 0.994 0.501
0.547 0.494 0.999
0.953 0.506 0.499
0.017 0.064 0.886
0.043 0.155 0.046
0.056 0.857 0.955
0.069 0.959 0.121
0.127 0.475 0.491
0.223 0.002 0.982
0.277 0.998 0.482
0.373 0.525 0.991
0.431 0.041 0.621
0.444 0.143 0.455
0.457 0.845 0.546
0.483 0.936 0.386
0.517 0.436 0.114
0.543 0.345 0.954
0.556 0.643 0.045
0.569 0.541 0.879
0.627 0.025 0.509
0.723 0.498 0.018
0.777 0.502 0.518
0.873 0.975 0.009
0.931 0.459 0.379
0.944 0.357 0.545
0.957 0.655 0.454
0.983 0.564 0.614
0.033 0.487 0.704
0.043 0.490 0.302
0.053 0.795 0.853
0.060 0.273 0.982
0.064 0.729 0.001
0.090 0.212 0.146
0.091 0.825 0.159
0.094 0.663 0.627
0.107 0.676 0.429
0.123 0.134 0.823
0.126 0.342 0.544
0.163 0.022 0.558
0.175 0.939 0.409
0.183 0.011 0.187
0.226 0.432 0.408
0.238 0.870 0.933
0.250 0.480 0.053
0.250 0.520 0.553
0.262 0.130 0.433
0.274 0.568 0.908
0.317 0.989 0.687
0.325 0.061 0.909
0.337 0.978 0.058
0.374 0.658 0.044
0.377 0.866 0.323
0.393 0.324 0.929
0.406 0.337 0.127
0.409 0.175 0.659
0.410 0.788 0.646
0.436 0.271 0.501
0.440 0.727 0.482
0.447 0.205 0.353
0.457 0.510 0.802
0.467 0.513 0.204
0.533 0.013 0.296
0.543 0.010 0.698
0.553 0.705 0.147
0.560 0.227 0.018
0.564 0.771 0.999
0.590 0.288 0.854
0.591 0.675 0.841
0.594 0.837 0.373
0.607 0.824 0.571
0.623 0.366 0.177
0.626 0.158 0.456
0.663 0.478 0.442
0.675 0.561 0.591
0.683 0.489 0.813
0.726 0.068 0.592
0.738 0.630 0.067
0.750 0.020 0.947
0.750 0.980 0.447
0.762 0.370 0.567
0.774 0.932 0.092
0.817 0.511 0.313
0.825 0.439 0.091
0.837 0.522 0.942
0.874 0.842 0.956
0.877 0.634 0.677
0.893 0.176 0.071
0.906 0.163 0.873
0.909 0.325 0.341
0.910 0.712 0.354
0.936 0.229 0.499
0.940 0.773 0.518
0.947 0.295 0.647
0.957 0.990 0.198
0.967 0.987 0.796
0.051 0.755 0.792
0.064 0.346 0.945
0.064 0.648 0.026
0.068 0.447 0.760
0.092 0.044 0.602
0.103 0.748 0.188
0.106 0.913 0.365
0.107 0.512 0.253
0.114 0.248 0.207
0.159 0.726 0.634
0.173 0.454 0.088
0.180 0.180 0.780
0.186 0.280 0.569
0.194 0.705 0.409
0.196 0.183 0.403
0.213 0.596 0.859
0.248 0.043 0.231
0.252 0.957 0.731
0.287 0.404 0.359
0.304 0.817 0.903
0.306 0.295 0.909
0.314 0.720 0.069
0.320 0.820 0.280
0.327 0.546 0.588
0.341 0.274 0.134
0.386 0.752 0.707
0.393 0.488 0.753
0.394 0.087 0.865
0.397 0.252 0.688
0.408 0.956 0.102
0.432 0.553 0.260
0.436 0.352 0.526
0.436 0.654 0.445
0.449 0.245 0.292
0.551 0.745 0.208
0.564 0.154 0.055
0.564 0.852 0.974
0.568 0.053 0.240
0.592 0.456 0.398
0.603 0.752 0.812
0.606 0.587 0.635
0.607 0.988 0.747
0.614 0.252 0.793
0.659 0.774 0.366
0.673 0.046 0.912
0.680 0.320 0.220
0.686 0.220 0.431
0.694 0.795 0.591
0.696 0.317 0.597
0.713 0.904 0.141
0.748 0.457 0.769
0.752 0.543 0.269
0.787 0.096 0.641
0.804 0.683 0.097
0.806 0.205 0.091
0.814 0.780 0.931
0.820 0.680 0.720
0.827 0.954 0.412
0.841 0.226 0.866
0.886 0.748 0.293
0.893 0.012 0.247
0.894 0.413 0.135
0.897 0.248 0.312
0.908 0.544 0.898
0.932 0.947 0.740
0.936 0.148 0.474
0.936 0.846 0.555
0.949 0.255 0.708
```



Density functional theory data (PBE) for Li2BiPCO7 after structural relaxation.

Output
E (MP2020): -7.0214 eV per atom
ΔH_f (0 K): -27.3 eV/f.u.
total energy: -6.62 eV/atom
E above lowest polymorph: 9.6 meV per atom

POSCAR file:
```
Li2BiPCO7
1.0
5.076 0.000 0.000
0.000 6.893 0.000
-0.054 0.000 9.171
Li Bi P C O
4 2 2 2 14
Direct
0.217 0.049 0.283
0.217 0.451 0.283
0.783 0.549 0.717
0.783 0.951 0.717
0.237 0.250 0.866
0.763 0.750 0.134
0.263 0.750 0.895
0.737 0.250 0.105
0.259 0.250 0.568
0.741 0.750 0.432
0.035 0.250 0.641
0.118 0.571 0.830
0.118 0.929 0.830
0.232 0.750 0.066
0.264 0.250 0.431
0.441 0.250 0.140
0.475 0.250 0.649
0.525 0.750 0.351
0.559 0.750 0.860
0.736 0.750 0.569
0.768 0.250 0.934
0.882 0.071 0.170
0.882 0.429 0.170
0.965 0.750 0.359
```



Density functional theory data (PBE) for MgSn3 after structural relaxation.

Output
ΔH_f (0 K): 0.1 eV/f.u.
total energy: -3.39 eV/atom

POSCAR file:
```
MgSn3
1.0
0.000 3.746 3.746
3.746 0.000 3.746
3.746 3.746 0.000
Mg Sn
1 3
Direct
0.000 0.000 0.000
0.250 0.250 0.250
0.500 0.500 0.500
0.750 0.750 0.750
```



Density functional theory data (PBE) for CsTa4P3S19 after structural relaxation.

Output
E (MP2020): -6.3457 eV per atom
ΔH_f (0 K): -28.2 eV/f.u.
total energy: -5.99 eV/atom

POSCAR file:
```
CsTa4P3S19
1.0
12.893 0.000 0.000
0.000 8.746 0.000
0.000 0.000 27.557
Cs Ta P S
4 16 12 76
Direct
0.098 0.043 0.000
0.402 0.043 0.500
0.598 0.957 0.000
0.902 0.957 0.500
0.117 0.831 0.206
0.118 0.832 0.332
0.158 0.526 0.407
0.159 0.525 0.132
0.341 0.525 0.632
0.342 0.526 0.907
0.382 0.832 0.832
0.383 0.831 0.706
0.617 0.169 0.206
0.618 0.168 0.332
0.658 0.474 0.407
0.659 0.475 0.132
0.841 0.475 0.632
0.842 0.474 0.907
0.882 0.168 0.832
0.883 0.169 0.706
0.103 0.169 0.158
0.103 0.170 0.380
0.250 0.535 0.020
0.250 0.535 0.520
0.397 0.169 0.658
0.397 0.170 0.880
0.603 0.830 0.380
0.603 0.831 0.158
0.750 0.465 0.020
0.750 0.465 0.520
0.897 0.830 0.880
0.897 0.831 0.658
0.003 0.945 0.701
0.003 0.945 0.838
0.010 0.663 0.385
0.011 0.663 0.154
0.024 0.224 0.769
0.038 0.293 0.435
0.038 0.294 0.104
0.091 0.616 0.269
0.131 0.657 0.051
0.132 0.658 0.487
0.193 0.329 0.194
0.194 0.328 0.345
0.197 0.985 0.398
0.198 0.411 0.578
0.198 0.414 0.961
0.198 0.986 0.141
0.224 0.938 0.269
0.230 0.671 0.862
0.230 0.672 0.677
0.270 0.671 0.362
0.270 0.672 0.177
0.276 0.938 0.769
0.302 0.411 0.078
0.302 0.414 0.461
0.302 0.986 0.641
0.303 0.985 0.898
0.306 0.328 0.845
0.307 0.329 0.694
0.368 0.658 0.987
0.369 0.657 0.551
0.409 0.616 0.769
0.462 0.293 0.935
0.462 0.294 0.604
0.476 0.224 0.269
0.489 0.663 0.654
0.490 0.663 0.885
0.497 0.945 0.201
0.497 0.945 0.338
0.503 0.055 0.701
0.503 0.055 0.838
0.510 0.337 0.385
0.511 0.337 0.154
0.524 0.776 0.769
0.538 0.706 0.104
0.538 0.707 0.435
0.591 0.384 0.269
0.631 0.343 0.051
0.632 0.342 0.487
0.693 0.671 0.194
0.694 0.672 0.345
0.697 0.015 0.398
0.698 0.014 0.141
0.698 0.586 0.961
0.698 0.589 0.578
0.724 0.062 0.269
0.730 0.328 0.677
0.730 0.329 0.862
0.770 0.328 0.177
0.770 0.329 0.362
0.776 0.062 0.769
0.802 0.014 0.641
0.802 0.586 0.461
0.802 0.589 0.078
0.803 0.015 0.898
0.806 0.672 0.845
0.807 0.671 0.694
0.868 0.342 0.987
0.869 0.343 0.551
0.909 0.384 0.769
0.962 0.706 0.604
0.962 0.707 0.935
0.976 0.776 0.269
0.989 0.337 0.654
0.990 0.337 0.885
0.997 0.055 0.201
0.997 0.055 0.338
```